Entry 1:
Tm6Zn23: optimized geometry, PBE-GGA.

Cell: 8.9212 8.9212 8.9212 Å, 60.00 60.00 60.00°
Closest atoms and distances in Å follow each position.
Sites, in units of the cell vectors:
Tm 0.2058 0.2058 0.7942  12 Zn 3.07-3.20
Tm 0.2058 0.7942 0.2058  12 Zn 3.07-3.20
Tm 0.2058 0.7942 0.7942  12 Zn 3.07-3.20
Tm 0.7942 0.2058 0.2058  12 Zn 3.07-3.20
Tm 0.7942 0.2058 0.7942  12 Zn 3.07-3.20
Tm 0.7942 0.7942 0.2058  12 Zn 3.07-3.20
Zn 0.0000 0.0000 0.5000  8 Zn 2.58-2.76
Zn 0.0000 0.5000 0.0000  8 Zn 2.58-2.76
Zn 0.0000 0.5000 0.5000  8 Zn 2.58-2.76
Zn 0.1353 0.6216 0.6216  7 Zn 2.66-2.76
Zn 0.1710 0.1710 0.1710  9 Zn 2.58-2.82
Zn 0.1710 0.1710 0.4869  9 Zn 2.58-2.82
Zn 0.1710 0.4869 0.1710  9 Zn 2.58-2.82
Zn 0.3784 0.3784 0.3784  7 Zn 2.66-2.76
Zn 0.3784 0.3784 0.8647  7 Zn 2.66-2.76
Zn 0.3784 0.8647 0.3784  7 Zn 2.66-2.76
Zn 0.4869 0.1710 0.1710  9 Zn 2.58-2.82
Zn 0.5000 0.0000 0.0000  8 Zn 2.58-2.76
Zn 0.5000 0.0000 0.5000  8 Zn 2.58-2.76
Zn 0.5000 0.5000 0.0000  8 Zn 2.58-2.76
Zn 0.5000 0.5000 0.5000  8 Zn 2.66
Zn 0.5131 0.8290 0.8290  9 Zn 2.58-2.82
Zn 0.6216 0.1353 0.6216  7 Zn 2.66-2.76
Zn 0.6216 0.6216 0.1353  7 Zn 2.66-2.76
Zn 0.6216 0.6216 0.6216  7 Zn 2.66-2.76
Zn 0.8290 0.5131 0.8290  9 Zn 2.58-2.82
Zn 0.8290 0.8290 0.5131  9 Zn 2.58-2.82
Zn 0.8290 0.8290 0.8290  9 Zn 2.58-2.82
Zn 0.8647 0.3784 0.3784  7 Zn 2.66-2.76

Computed properties:
Its calculated formation energy is -303 meV/atom. The value obtained for the density is 8.33 g/cm3. The value obtained for the energy is -64.63 eV per cell.

=====

Entry 2:
Rb2CdP2O7: optimized geometry, PBE-GGA.

Cell: 5.4782 10.0643 15.9166 Å, 90.00 92.18 90.00°
Closest atoms and distances in Å follow each position.
Sites, in units of the cell vectors:
Rb 0.2225 0.1549 0.0757  8 O 2.93-3.28
Rb 0.2225 0.3451 0.5757  8 O 2.93-3.28
Rb 0.2393 0.0217 0.3894  5 O 2.77-3.09
Rb 0.2393 0.4783 0.8894  5 O 2.77-3.09
Rb 0.7607 0.5217 0.1106  5 O 2.77-3.09
Rb 0.7607 0.9783 0.6106  5 O 2.77-3.09
Rb 0.7775 0.6549 0.4243  8 O 2.93-3.28
Rb 0.7775 0.8451 0.9243  8 O 2.93-3.28
Cd 0.2421 0.1125 0.8134  5 O 2.21-2.33
Cd 0.2421 0.3875 0.3134  5 O 2.21-2.33
Cd 0.7579 0.6125 0.6866  5 O 2.21-2.33
Cd 0.7579 0.8875 0.1866  5 O 2.21-2.33
P 0.2552 0.7263 0.2705  4 O 1.53-1.64
P 0.2552 0.7432 0.5861  4 O 1.52-1.68
P 0.2552 0.7568 0.0861  4 O 1.52-1.68
P 0.2552 0.7737 0.7705  4 O 1.53-1.64
P 0.7448 0.2263 0.2295  4 O 1.53-1.64
P 0.7448 0.2432 0.9139  4 O 1.52-1.68
P 0.7448 0.2568 0.4139  4 O 1.52-1.68
P 0.7448 0.2737 0.7295  4 O 1.53-1.64
O 0.0103 0.7039 0.7848  1 P 1.54
O 0.0103 0.7961 0.2848  1 P 1.54
O 0.0838 0.6240 0.5970  1 P 1.54
O 0.0838 0.8760 0.0970  1 P 1.54
O 0.1744 0.6589 0.0181  1 P 1.52
O 0.1744 0.8411 0.5181  1 P 1.52
O 0.2428 0.6662 0.1744  2 P 1.64-1.68
O 0.2428 0.8338 0.6744  2 P 1.64-1.68
O 0.2873 0.6042 0.3275  1 P 1.53
O 0.2873 0.8958 0.8275  1 P 1.53
O 0.4719 0.6778 0.7804  1 P 1.53
O 0.4719 0.8222 0.2804  1 P 1.53
O 0.4744 0.2022 0.9190  1 P 1.54
O 0.4744 0.2978 0.4190  1 P 1.54
O 0.5256 0.7022 0.5810  1 P 1.54
O 0.5256 0.7978 0.0810  1 P 1.54
O 0.5281 0.1778 0.7196  1 P 1.53
O 0.5281 0.3222 0.2196  1 P 1.53
O 0.7127 0.1042 0.1725  1 P 1.53
O 0.7127 0.3958 0.6725  1 P 1.53
O 0.7572 0.1662 0.3256  2 P 1.64-1.68
O 0.7572 0.3338 0.8256  2 P 1.64-1.68
O 0.8256 0.1589 0.4819  1 P 1.52
O 0.8256 0.3411 0.9819  1 P 1.52
O 0.9162 0.1240 0.9030  1 P 1.54
O 0.9162 0.3760 0.4030  1 P 1.54
O 0.9897 0.2039 0.7152  1 P 1.54
O 0.9897 0.2961 0.2152  1 P 1.54

Computed properties:
Its calculated formation energy is -2537 meV/atom. The value obtained for the density is 3.46 g/cm3. The value obtained for the energy is -295.94 eV per cell.

=====

Entry 3:
Nb5Si3N: optimized geometry, PBE-GGA.

Cell: 7.5306 7.5306 5.4313 Å, 90.00 90.00 120.00°
Closest atoms and distances in Å follow each position.
Sites, in units of the cell vectors:
Nb 0.0000 0.2335 0.2500  2 N 2.22
Nb 0.0000 0.7665 0.7500  2 N 2.22
Nb 0.2335 0.0000 0.2500  2 N 2.22
Nb 0.2335 0.2335 0.7500  2 N 2.22
Nb 0.3333 0.6667 0.0000  6 Si 2.66, 2 Nb 2.72
Nb 0.3333 0.6667 0.5000  6 Si 2.66, 2 Nb 2.72
Nb 0.6667 0.3333 0.0000  6 Si 2.66, 2 Nb 2.72
Nb 0.6667 0.3333 0.5000  6 Si 2.66, 2 Nb 2.72
Nb 0.7665 0.0000 0.7500  2 N 2.22
Nb 0.7665 0.7665 0.2500  2 N 2.22
Si 0.0000 0.4052 0.7500  7 Nb 2.65-2.72
Si 0.0000 0.5948 0.2500  7 Nb 2.65-2.72
Si 0.4052 0.0000 0.7500  7 Nb 2.65-2.72
Si 0.4052 0.4052 0.2500  7 Nb 2.65-2.72
Si 0.5948 0.0000 0.2500  7 Nb 2.65-2.72
Si 0.5948 0.5948 0.7500  7 Nb 2.65-2.72
N 0.0000 0.0000 0.0000  6 Nb 2.22
N 0.0000 0.0000 0.5000  6 Nb 2.22

Computed properties:
Its calculated formation energy is -803 meV/atom. The value obtained for the density is 7.01 g/cm3. The value obtained for the energy is -163.97 eV per cell.

=====

Entry 4:
K2NaB9O15: optimized geometry, PBE-GGA.

Cell: 9.2140 6.7076 20.9267 Å, 90.00 94.08 90.00°
Closest atoms and distances in Å follow each position.
Sites, in units of the cell vectors:
K 0.0890 0.1860 0.1195  7 O 2.76-3.07
K 0.0890 0.3140 0.6195  7 O 2.76-3.07
K 0.2784 0.1965 0.9670  7 O 2.81-2.95
K 0.2784 0.3035 0.4670  7 O 2.81-2.95
K 0.7216 0.6965 0.5330  7 O 2.81-2.95
K 0.7216 0.8035 0.0330  7 O 2.81-2.95
K 0.9110 0.6860 0.3805  7 O 2.76-3.07
K 0.9110 0.8140 0.8805  7 O 2.76-3.07
Na 0.4349 0.5127 0.2457  4 O 2.39-2.49
Na 0.4349 0.9873 0.7457  4 O 2.39-2.49
Na 0.5651 0.0127 0.2543  4 O 2.39-2.49
Na 0.5651 0.4873 0.7543  4 O 2.39-2.49
B 0.0099 0.7173 0.1245  3 O 1.37-1.40
B 0.0099 0.7827 0.6245  3 O 1.37-1.40
B 0.0862 0.5371 0.2221  3 O 1.36-1.40
B 0.0862 0.9629 0.7221  3 O 1.36-1.40
B 0.1511 0.2210 0.2845  4 O 1.48-1.50
B 0.1511 0.2790 0.7845  4 O 1.48-1.50
B 0.1754 0.7491 0.5345  4 O 1.47-1.51
B 0.1754 0.7509 0.0345  4 O 1.47-1.51
B 0.2543 0.7436 0.9232  3 O 1.36-1.40
B 0.2543 0.7564 0.4232  3 O 1.36-1.40
B 0.3042 0.5706 0.8252  3 O 1.36-1.40
B 0.3042 0.9294 0.3252  3 O 1.36-1.40
B 0.3463 0.5056 0.0886  3 O 1.36-1.40
B 0.3463 0.9944 0.5886  3 O 1.36-1.40
B 0.3873 0.6423 0.6103  3 O 1.37-1.41
B 0.3873 0.8577 0.1103  3 O 1.37-1.41
B 0.4934 0.7001 0.3757  4 O 1.47-1.50
B 0.4934 0.7999 0.8757  4 O 1.47-1.50
B 0.5066 0.2001 0.1243  4 O 1.47-1.50
B 0.5066 0.2999 0.6243  4 O 1.47-1.50
B 0.6127 0.1423 0.8897  3 O 1.37-1.41
B 0.6127 0.3577 0.3897  3 O 1.37-1.41
B 0.6537 0.0056 0.4114  3 O 1.36-1.40
B 0.6537 0.4944 0.9114  3 O 1.36-1.40
B 0.6958 0.0706 0.6748  3 O 1.36-1.40
B 0.6958 0.4294 0.1748  3 O 1.36-1.40
B 0.7457 0.2436 0.5768  3 O 1.36-1.40
B 0.7457 0.2564 0.0768  3 O 1.36-1.40
B 0.8246 0.2491 0.9655  4 O 1.47-1.51
B 0.8246 0.2509 0.4655  4 O 1.47-1.51
B 0.8489 0.7210 0.2155  4 O 1.48-1.50
B 0.8489 0.7790 0.7155  4 O 1.48-1.50
B 0.9138 0.0371 0.2779  3 O 1.36-1.40
B 0.9138 0.4629 0.7779  3 O 1.36-1.40
B 0.9901 0.2173 0.3755  3 O 1.37-1.40
B 0.9901 0.2827 0.8755  3 O 1.37-1.40
O 0.0305 0.1078 0.2487  2 B 1.36-1.50
O 0.0305 0.3922 0.7487  2 B 1.36-1.50
O 0.0335 0.7301 0.5629  2 B 1.37-1.48
O 0.0335 0.7699 0.0629  2 B 1.37-1.48
O 0.1134 0.2183 0.8492  2 B 1.37-1.48
O 0.1134 0.2817 0.3492  2 B 1.37-1.48
O 0.1132 0.6028 0.1604  2 B 1.40
O 0.1132 0.8972 0.6604  2 B 1.40
O 0.1529 0.7081 0.4656  2 B 1.37-1.47
O 0.1529 0.7919 0.9656  2 B 1.37-1.47
O 0.1854 0.1013 0.7466  2 B 1.38-1.48
O 0.1854 0.3987 0.2466  2 B 1.38-1.48
O 0.2092 0.6162 0.8727  2 B 1.40
O 0.2092 0.8838 0.3727  2 B 1.40
O 0.2386 0.5487 0.0423  2 B 1.37-1.48
O 0.2386 0.9513 0.5423  2 B 1.37-1.48
O 0.2754 0.5959 0.5666  2 B 1.37-1.51
O 0.2754 0.9041 0.0666  2 B 1.37-1.51
O 0.2827 0.0915 0.2870  2 B 1.36-1.49
O 0.2827 0.4085 0.7870  2 B 1.36-1.49
O 0.3766 0.1914 0.5990  2 B 1.36-1.47
O 0.3766 0.3086 0.0990  2 B 1.36-1.47
O 0.3919 0.6803 0.4276  2 B 1.36-1.49
O 0.3919 0.8197 0.9276  2 B 1.36-1.49
O 0.4227 0.6950 0.8181  2 B 1.39-1.50
O 0.4227 0.8050 0.3181  2 B 1.39-1.50
O 0.4246 0.6565 0.1224  2 B 1.40-1.41
O 0.4246 0.8435 0.6224  2 B 1.40-1.41
O 0.4685 0.5027 0.6448  2 B 1.37-1.48
O 0.4685 0.9973 0.1448  2 B 1.37-1.48
O 0.5315 0.0027 0.8552  2 B 1.37-1.48
O 0.5315 0.4973 0.3552  2 B 1.37-1.48
O 0.5754 0.1565 0.3776  2 B 1.40-1.41
O 0.5754 0.3435 0.8776  2 B 1.40-1.41
O 0.5773 0.1950 0.6819  2 B 1.39-1.50
O 0.5773 0.3050 0.1819  2 B 1.39-1.50
O 0.6081 0.1803 0.0724  2 B 1.36-1.49
O 0.6081 0.3197 0.5724  2 B 1.36-1.49
O 0.6234 0.6914 0.9010  2 B 1.36-1.47
O 0.6234 0.8086 0.4010  2 B 1.36-1.47
O 0.7173 0.5915 0.2130  2 B 1.36-1.49
O 0.7173 0.9085 0.7130  2 B 1.36-1.49
O 0.7246 0.0959 0.9334  2 B 1.37-1.51
O 0.7246 0.4041 0.4334  2 B 1.37-1.51
O 0.7614 0.0487 0.4577  2 B 1.37-1.48
O 0.7614 0.4513 0.9577  2 B 1.37-1.48
O 0.7908 0.1162 0.6273  2 B 1.40
O 0.7908 0.3838 0.1273  2 B 1.40
O 0.8146 0.6013 0.7534  2 B 1.38-1.48
O 0.8146 0.8987 0.2534  2 B 1.38-1.48
O 0.8471 0.2081 0.0344  2 B 1.37-1.47
O 0.8471 0.2919 0.5344  2 B 1.37-1.47
O 0.8868 0.1028 0.3396  2 B 1.40
O 0.8868 0.3972 0.8396  2 B 1.40
O 0.8866 0.7183 0.6508  2 B 1.37-1.48
O 0.8866 0.7817 0.1508  2 B 1.37-1.48
O 0.9665 0.2301 0.9371  2 B 1.37-1.48
O 0.9665 0.2699 0.4371  2 B 1.37-1.48
O 0.9695 0.6078 0.2513  2 B 1.36-1.50
O 0.9695 0.8922 0.7513  2 B 1.36-1.50

Computed properties:
Its calculated formation energy is -2808 meV/atom. The value obtained for the density is 2.26 g/cm3. The value obtained for the energy is -813.60 eV per cell.

=====

Entry 5:
Y2Al3Fe: optimized geometry, PBE-GGA.

Cell: 5.4147 5.4147 5.4147 Å, 61.01 61.01 61.01°
Closest atoms and distances in Å follow each position.
Sites, in units of the cell vectors:
Y 0.1258 0.1258 0.1258  9 Al 3.16-3.21, 3 Fe 3.22, 4 Y 3.31-3.35
Y 0.8742 0.8742 0.8742  9 Al 3.16-3.21, 3 Fe 3.22, 4 Y 3.31-3.35
Al 0.0000 0.5000 0.5000  2 Fe 2.71, 4 Al 2.75
Al 0.5000 0.0000 0.5000  2 Fe 2.71, 4 Al 2.75
Al 0.5000 0.5000 0.0000  2 Fe 2.71, 4 Al 2.75
Fe 0.5000 0.5000 0.5000  6 Al 2.71

Computed properties:
Its calculated formation energy is -409 meV/atom. The value obtained for the density is 4.55 g/cm3. The value obtained for the energy is -35.09 eV per cell.